Entry 1:
DFT (PBE) results for crystalline Sm5B4Rh15 at its relaxed geometry.

a = 4.250 Å, b = 4.250 Å, c = 20.703 Å
α = 90.00°, β = 90.00°, γ = 90.00°
Fractional coordinates of all 24 atoms:
B: 0.500 0.500 0.398
B: 0.500 0.500 0.190
B: 0.500 0.500 0.602
B: 0.500 0.500 0.810
Sm: 0.000 0.000 0.500
Sm: 0.000 0.000 0.904
Sm: 0.000 0.000 0.096
Sm: 0.000 0.000 0.299
Sm: 0.000 0.000 0.701
Rh: 0.500 0.000 0.000
Rh: 0.500 0.500 0.500
Rh: 0.000 0.500 0.197
Rh: 0.500 0.500 0.091
Rh: 0.500 0.000 0.197
Rh: 0.500 0.000 0.399
Rh: 0.000 0.500 0.399
Rh: 0.000 0.500 0.000
Rh: 0.000 0.500 0.803
Rh: 0.500 0.000 0.803
Rh: 0.500 0.500 0.704
Rh: 0.000 0.500 0.601
Rh: 0.500 0.500 0.296
Rh: 0.500 0.000 0.601
Rh: 0.500 0.500 0.909

Results
Space group: No. 123
E in eV/atom: -7.378
DFT formation energy in kJ per mole of atoms: -66

Entry 2:
DFT (PBE) results for crystalline Sn5B2Rh6 at its relaxed geometry.

a = 6.677 Å, b = 6.677 Å, c = 5.632 Å
α = 90.00°, β = 90.00°, γ = 120.00°
Fractional coordinates of all 13 atoms:
B: 0.000 0.000 0.500
B: 0.000 0.000 0.000
Rh: 0.000 0.251 0.253
Rh: 0.251 0.000 0.253
Rh: 0.749 0.749 0.253
Rh: 0.000 0.251 0.747
Rh: 0.749 0.749 0.747
Rh: 0.251 0.000 0.747
Sn: 0.667 0.333 0.500
Sn: 0.000 0.596 0.000
Sn: 0.596 0.000 0.000
Sn: 0.404 0.404 0.000
Sn: 0.333 0.667 0.500

Results
Space group: No. 189
E in eV/atom: -6.420
DFT formation energy in kJ per mole of atoms: -44

Entry 3:
DFT (PBE) results for crystalline Zn10SnB8Rh18 at its relaxed geometry.

a = 17.993 Å, b = 17.993 Å, c = 2.899 Å
α = 90.00°, β = 90.00°, γ = 90.00°
Fractional coordinates of all 74 atoms:
Zn: 0.192 0.967 0.000
Zn: 0.710 0.790 0.000
Zn: 0.967 0.808 0.000
Zn: 0.450 0.950 0.000
Zn: 0.050 0.450 0.000
Zn: 0.290 0.210 0.000
Zn: 0.667 0.167 0.000
Zn: 0.167 0.333 0.000
Zn: 0.033 0.192 0.000
Zn: 0.550 0.050 0.000
Zn: 0.692 0.533 0.000
Zn: 0.210 0.710 0.000
Zn: 0.808 0.033 0.000
Zn: 0.790 0.290 0.000
Zn: 0.308 0.467 0.000
Zn: 0.950 0.550 0.000
Zn: 0.333 0.833 0.000
Zn: 0.533 0.308 0.000
Zn: 0.467 0.692 0.000
Zn: 0.833 0.667 0.000
Rh: 0.287 0.339 0.500
Rh: 0.081 0.581 0.500
Rh: 0.919 0.419 0.500
Rh: 0.339 0.713 0.500
Rh: 0.410 0.242 0.500
Rh: 0.069 0.896 0.500
Rh: 0.242 0.590 0.500
Rh: 0.826 0.547 0.500
Rh: 0.047 0.326 0.500
Rh: 0.931 0.104 0.500
Rh: 0.419 0.081 0.500
Rh: 0.839 0.787 0.500
Rh: 0.453 0.826 0.500
Rh: 0.787 0.161 0.500
Rh: 0.326 0.953 0.500
Rh: 0.174 0.453 0.500
Rh: 0.213 0.839 0.500
Rh: 0.661 0.287 0.500
Rh: 0.590 0.758 0.500
Rh: 0.547 0.174 0.500
Rh: 0.104 0.069 0.500
Rh: 0.910 0.258 0.500
Rh: 0.090 0.742 0.500
Rh: 0.161 0.213 0.500
Rh: 0.431 0.396 0.500
Rh: 0.758 0.410 0.500
Rh: 0.953 0.674 0.500
Rh: 0.742 0.910 0.500
Rh: 0.604 0.431 0.500
Rh: 0.258 0.090 0.500
Rh: 0.581 0.919 0.500
Rh: 0.896 0.931 0.500
Rh: 0.713 0.661 0.500
Rh: 0.396 0.569 0.500
Rh: 0.674 0.047 0.500
Rh: 0.569 0.604 0.500
B: 0.836 0.461 0.000
B: 0.461 0.164 0.000
B: 0.172 0.127 0.000
B: 0.664 0.961 0.000
B: 0.961 0.336 0.000
B: 0.539 0.836 0.000
B: 0.373 0.328 0.000
B: 0.672 0.373 0.000
B: 0.039 0.664 0.000
B: 0.336 0.039 0.000
B: 0.828 0.873 0.000
B: 0.627 0.672 0.000
B: 0.328 0.627 0.000
B: 0.164 0.539 0.000
B: 0.873 0.172 0.000
B: 0.127 0.828 0.000
Sn: 0.000 0.000 0.000
Sn: 0.500 0.500 0.000

Results
Space group: No. 127
E in eV/atom: -5.892
DFT formation energy in kJ per mole of atoms: -40

Entry 4:
DFT (PBE) results for crystalline Sr3B6Rh8 at its relaxed geometry.

a = 9.967 Å, b = 9.055 Å, c = 5.760 Å
α = 81.28°, β = 63.89°, γ = 34.83°
Fractional coordinates of all 17 atoms:
Rh: 0.584 0.584 0.916
Rh: 0.916 0.916 0.584
Rh: 0.084 0.084 0.416
Rh: 0.750 0.750 0.750
Rh: 0.250 0.250 0.250
Rh: 0.087 0.087 0.913
Rh: 0.913 0.913 0.087
Rh: 0.416 0.416 0.084
Sr: 0.317 0.317 0.683
Sr: 0.500 0.500 0.500
Sr: 0.683 0.683 0.317
B: 0.334 0.004 0.996
B: 0.835 0.165 0.835
B: 0.996 0.666 0.334
B: 0.004 0.334 0.666
B: 0.666 0.996 0.004
B: 0.165 0.835 0.165

Results
Space group: No. 69
E in eV/atom: -6.674
DFT formation energy in kJ per mole of atoms: -53

Entry 5:
DFT (PBE) results for crystalline Sr5B10Rh14 at its relaxed geometry.

a = 15.353 Å, b = 14.795 Å, c = 5.728 Å
α = 84.59°, β = 73.61°, γ = 21.80°
Fractional coordinates of all 29 atoms:
B: 0.834 0.166 0.834
B: 0.368 0.036 0.964
B: 0.964 0.632 0.368
B: 0.632 0.964 0.036
B: 0.936 0.266 0.734
B: 0.036 0.368 0.632
B: 0.166 0.834 0.166
B: 0.064 0.734 0.266
B: 0.266 0.936 0.064
B: 0.734 0.064 0.936
Rh: 0.152 0.152 0.348
Rh: 0.050 0.050 0.950
Rh: 0.051 0.051 0.449
Rh: 0.652 0.652 0.848
Rh: 0.950 0.950 0.050
Rh: 0.847 0.847 0.153
Rh: 0.449 0.449 0.051
Rh: 0.153 0.153 0.847
Rh: 0.551 0.551 0.949
Rh: 0.848 0.848 0.652
Rh: 0.949 0.949 0.551
Rh: 0.250 0.250 0.250
Rh: 0.348 0.348 0.152
Rh: 0.750 0.750 0.750
Sr: 0.288 0.288 0.712
Sr: 0.395 0.395 0.605
Sr: 0.605 0.605 0.395
Sr: 0.712 0.712 0.288
Sr: 0.500 0.500 0.500

Results
Space group: No. 69
E in eV/atom: -6.694
DFT formation energy in kJ per mole of atoms: -52

Entry 6:
DFT (PBE) results for crystalline TbB2Rh3 at its relaxed geometry.

a = 5.444 Å, b = 5.444 Å, c = 3.142 Å
α = 90.00°, β = 90.00°, γ = 120.00°
Fractional coordinates of all 6 atoms:
B: 0.333 0.667 0.500
B: 0.667 0.333 0.500
Rh: 0.500 0.000 0.000
Rh: 0.500 0.500 0.000
Rh: 0.000 0.500 0.000
Tb: 0.000 0.000 0.500

Results
Space group: No. 191
E in eV/atom: -7.382
DFT formation energy in kJ per mole of atoms: -68

Entry 7:
DFT (PBE) results for crystalline ThB4Rh4 at its relaxed geometry.

a = 5.392 Å, b = 5.392 Å, c = 7.622 Å
α = 90.00°, β = 90.00°, γ = 90.00°
Fractional coordinates of all 18 atoms:
Th: 0.500 0.500 0.500
Th: 0.000 0.000 0.000
B: 0.000 0.334 0.652
B: 0.666 0.000 0.348
B: 0.166 0.500 0.152
B: 0.334 0.000 0.348
B: 0.500 0.166 0.848
B: 0.500 0.834 0.848
B: 0.834 0.500 0.152
B: 0.000 0.666 0.652
Rh: 0.750 0.000 0.645
Rh: 0.000 0.250 0.355
Rh: 0.250 0.000 0.645
Rh: 0.500 0.750 0.145
Rh: 0.250 0.500 0.855
Rh: 0.000 0.750 0.355
Rh: 0.750 0.500 0.855
Rh: 0.500 0.250 0.145

Results
Space group: No. 137
E in eV/atom: -7.650
DFT formation energy in kJ per mole of atoms: -56

Entry 8:
DFT (PBE) results for crystalline ThBRh3 at its relaxed geometry.

a = 4.286 Å, b = 4.286 Å, c = 4.286 Å
α = 90.00°, β = 90.00°, γ = 90.00°
Fractional coordinates of all 5 atoms:
B: 0.000 0.000 0.000
Th: 0.500 0.500 0.500
Rh: 0.500 0.000 0.000
Rh: 0.000 0.500 0.000
Rh: 0.000 0.000 0.500

Results
Space group: No. 221
E in eV/atom: -8.121
DFT formation energy in kJ per mole of atoms: -85

Entry 9:
DFT (PBE) results for crystalline Ti2BRh6 at its relaxed geometry.

a = 5.597 Å, b = 5.597 Å, c = 5.597 Å
α = 60.00°, β = 60.00°, γ = 60.00°
Fractional coordinates of all 9 atoms:
Rh: 0.758 0.242 0.758
Rh: 0.758 0.758 0.242
Rh: 0.242 0.758 0.242
Rh: 0.242 0.242 0.758
Rh: 0.758 0.242 0.242
Rh: 0.242 0.758 0.758
Ti: 0.250 0.250 0.250
Ti: 0.750 0.750 0.750
B: 0.500 0.500 0.500

Results
Space group: No. 225
E in eV/atom: -8.080
DFT formation energy in kJ per mole of atoms: -65

Entry 10:
DFT (PBE) results for crystalline TmB2Rh3 at its relaxed geometry.

a = 5.411 Å, b = 5.411 Å, c = 3.122 Å
α = 90.00°, β = 90.00°, γ = 120.00°
Fractional coordinates of all 6 atoms:
B: 0.333 0.667 0.500
B: 0.667 0.333 0.500
Rh: 0.000 0.500 0.000
Rh: 0.500 0.500 0.000
Rh: 0.500 0.000 0.000
Tm: 0.000 0.000 0.500

Results
Space group: No. 191
E in eV/atom: -7.364
DFT formation energy in kJ per mole of atoms: -68

Entry 11:
DFT (PBE) results for crystalline TmBRh3 at its relaxed geometry.

a = 4.187 Å, b = 4.187 Å, c = 4.187 Å
α = 90.00°, β = 90.00°, γ = 90.00°
Fractional coordinates of all 5 atoms:
Rh: 0.500 0.500 0.000
Rh: 0.500 0.000 0.500
Rh: 0.000 0.500 0.500
Tm: 0.000 0.000 0.000
B: 0.500 0.500 0.500

Results
Space group: No. 221
E in eV/atom: -7.473
DFT formation energy in kJ per mole of atoms: -79

Entry 12:
DFT (PBE) results for crystalline Tm2B6Rh9 at its relaxed geometry.

a = 5.592 Å, b = 5.592 Å, c = 8.567 Å
α = 90.00°, β = 90.00°, γ = 120.00°
Fractional coordinates of all 17 atoms:
B: 0.333 0.667 0.000
B: 0.333 0.667 0.667
B: 0.667 0.333 0.000
B: 0.333 0.667 0.333
B: 0.667 0.333 0.333
B: 0.667 0.333 0.667
Rh: 0.500 0.500 0.165
Rh: 0.000 0.500 0.165
Rh: 0.000 0.500 0.835
Rh: 0.500 0.500 0.835
Rh: 0.000 0.500 0.500
Rh: 0.500 0.000 0.165
Rh: 0.500 0.500 0.500
Rh: 0.500 0.000 0.500
Rh: 0.500 0.000 0.835
Tm: 0.000 0.000 0.295
Tm: 0.000 0.000 0.705

Results
Space group: No. 191
E in eV/atom: -7.413
DFT formation energy in kJ per mole of atoms: -61

Q: Which of these has the lowest E?
A: ThBRh3

Q: What is the formula in the eleventh record?
A: TmBRh3

Q: Which value of E does entry 4 give?
A: -6.674 eV/atom